Entry 1:
Entry from Materials Project: a geometry-optimized HoLuAg2 structure (r2SCAN).

```
HoLuAg2
1.0
0.0000 3.5620 3.5620
3.5620 0.0000 3.5620
3.5620 3.5620 0.0000
Lu Ho Ag
1 1 2
Direct
0.5000 0.5000 0.5000 Lu
0.0000 0.0000 0.0000 Ho
0.2500 0.2500 0.2500 Ag
0.7500 0.7500 0.7500 Ag
```

Computed properties:
The space group is Fm-3m, No. 225. For the total magnetic moment, the calculation gives 0.000 μB per formula unit.

Entry 2:
Entry from Materials Project: a geometry-optimized ReRu3 structure (r2SCAN).

```
ReRu3
1.0
0.4905 5.3918 0.6224
-4.6630 -2.4842 1.3359
1.4636 -0.5951 4.0020
Ru Re
6 2
Direct
0.3351 0.1676 0.7500 Ru
0.1676 0.3351 0.2500 Ru
0.8324 0.6649 0.7500 Ru
0.8324 0.1676 0.7500 Ru
0.6649 0.8324 0.2500 Ru
0.1676 0.8324 0.2500 Ru
0.6667 0.3333 0.2500 Re
0.3333 0.6667 0.7500 Re
```

Computed properties:
The space group is P6_3/mmc, No. 194. For the total magnetic moment, the calculation gives 0.000 μB per formula unit.

Entry 3:
Entry from Materials Project: a geometry-optimized Na8Ni9O18 structure (r2SCAN).

```
Na8Ni9O18
1.0
-5.7525 -4.8814 0.0715
-4.4976 0.9537 5.3112
-5.8363 1.7942 -5.1591
O Ni Na
18 9 8
Direct
0.3749 0.2356 0.9310 O
0.1041 0.6117 0.9284 O
0.6992 0.9051 0.6043 O
0.0354 0.5683 0.2679 O
0.8626 0.1961 0.4984 O
0.3008 0.0949 0.3957 O
0.8959 0.3883 0.0716 O
0.1374 0.8039 0.5016 O
0.2483 0.0478 0.7225 O
0.5575 0.7185 0.4132 O
0.7517 0.9522 0.2775 O
0.8092 0.1427 0.8258 O
0.4425 0.2815 0.5868 O
0.5262 0.5309 0.8346 O
0.9646 0.4317 0.7321 O
0.4738 0.4691 0.1654 O
0.6251 0.7644 0.0690 O
0.1908 0.8573 0.1742 O
0.5000 0.0000 0.5000 Ni
0.7188 0.4499 0.9480 Ni
0.9466 0.8817 0.3878 Ni
0.3824 0.7809 0.2851 Ni
0.2812 0.5501 0.0520 Ni
0.0534 0.1183 0.6122 Ni
0.6176 0.2191 0.7149 Ni
0.1686 0.3327 0.8329 Ni
0.8314 0.6673 0.1671 Ni
0.4251 0.8897 0.8972 Na
0.6802 0.3168 0.3206 Na
0.7796 0.5516 0.5540 Na
0.3198 0.6832 0.6794 Na
0.2204 0.4484 0.4460 Na
0.5749 0.1103 0.1028 Na
0.8853 0.7897 0.7907 Na
0.1147 0.2103 0.2093 Na
```

Computed properties:
The space group is P-1, No. 2. For the total magnetic moment, the calculation gives 7.988 μB per formula unit.

Entry 4:
Entry from Materials Project: a geometry-optimized Sm3Sc structure (r2SCAN).

```
Sm3Sc
1.0
7.2625 0.0000 0.0000
-3.6312 6.2895 0.0000
0.0000 0.0000 5.6207
Sm Sc
6 2
Direct
0.1705 0.8295 0.2500 Sm
0.8295 0.1705 0.7500 Sm
0.8295 0.6590 0.7500 Sm
0.6590 0.8295 0.2500 Sm
0.1705 0.3410 0.2500 Sm
0.3410 0.1705 0.7500 Sm
0.6667 0.3333 0.2500 Sc
0.3333 0.6667 0.7500 Sc
```

Computed properties:
The excess energy over the best structure of this formula in the dataset is 0.000 eV per atom. The space group is P6_3/mmc, No. 194. For the total magnetic moment, the calculation gives 0.795 μB per formula unit.

Entry 5:
Entry from Materials Project: a geometry-optimized ZrUN2 structure (r2SCAN).

```
ZrUN2
1.0
1.5015 1.6462 5.5558
-1.5981 2.6732 5.1119
-0.9997 -0.4743 5.8828
N Zr U
2 1 1
Direct
0.7580 0.7580 0.7580 N
0.2420 0.2420 0.2420 N
0.5000 0.5000 0.5000 Zr
0.0000 0.0000 0.0000 U
```

Computed properties:
The space group is R-3m, No. 166. For the total magnetic moment, the calculation gives 2.095 μB per formula unit.

Entry 6:
Entry from Materials Project: a geometry-optimized GdGeRh structure (r2SCAN).

```
GdGeRh
1.0
-1.4734 -0.6754 4.0410
-5.6309 -3.3050 -2.6056
3.6963 -6.5028 0.2608
Rh Ge Gd
4 4 4
Direct
0.7500 0.3457 0.9301 Rh
0.7500 0.8457 0.5699 Rh
0.2500 0.6543 0.0699 Rh
0.2500 0.1543 0.4301 Rh
0.2500 0.7940 0.3972 Ge
0.7500 0.2060 0.6028 Ge
0.7500 0.7060 0.8972 Ge
0.2500 0.2940 0.1028 Ge
0.2500 0.4960 0.6937 Gd
0.7500 0.0040 0.1937 Gd
0.7500 0.5040 0.3063 Gd
0.2500 0.9960 0.8063 Gd
```

Computed properties:
The space group is Pnma, No. 62. For the total magnetic moment, the calculation gives 0.000 μB per formula unit.

Entry 7:
Entry from Materials Project: a geometry-optimized RuO2 structure (r2SCAN).

```
RuO2
1.0
-0.5244 1.9671 -4.3935
-3.5690 -3.1246 -0.9730
-3.2303 3.1328 1.7882
Ru O
4 8
Direct
0.0000 0.0000 0.0000 Ru
0.5000 0.5000 0.0000 Ru
0.0000 0.5000 0.5000 Ru
0.5000 0.0000 0.5000 Ru
0.3509 0.3509 0.3509 O
0.8509 0.1491 0.6491 O
0.6491 0.6491 0.6491 O
0.8509 0.3509 0.1491 O
0.3509 0.1491 0.8509 O
0.1491 0.8509 0.3509 O
0.6491 0.8509 0.1491 O
0.1491 0.6491 0.8509 O
```

Computed properties:
The space group is Pa-3, No. 205. For the total magnetic moment, the calculation gives 0.000 μB per formula unit.

Entry 8:
Entry from Materials Project: a geometry-optimized TlTe3Pt2 structure (r2SCAN).

```
TlTe3Pt2
1.0
7.9765 0.0000 0.0000
-3.9882 6.9078 0.0000
0.0000 0.0000 6.0487
Pt Te Tl
4 6 2
Direct
0.5000 0.5000 0.0000 Pt
0.5000 0.0000 0.0000 Pt
0.0000 0.0000 0.0000 Pt
0.0000 0.5000 0.0000 Pt
0.1696 0.8304 0.7780 Te
0.6609 0.8304 0.7780 Te
0.8304 0.6609 0.2220 Te
0.3391 0.1696 0.2220 Te
0.8304 0.1696 0.2220 Te
0.1696 0.3391 0.7780 Te
0.3333 0.6667 0.3082 Tl
0.6667 0.3333 0.6918 Tl
```

Computed properties:
The space group is P-3m1, No. 164. For the total magnetic moment, the calculation gives 0.000 μB per formula unit.

Entry 9:
Entry from Materials Project: a geometry-optimized LiPr2Al structure (r2SCAN).

```
LiPr2Al
1.0
0.0000 3.7890 3.7890
3.7890 0.0000 3.7890
3.7890 3.7890 0.0000
Li Pr Al
1 2 1
Direct
0.0000 0.0000 0.0000 Li
0.2500 0.2500 0.2500 Pr
0.7500 0.7500 0.7500 Pr
0.5000 0.5000 0.5000 Al
```

Computed properties:
The space group is Fm-3m, No. 225. For the total magnetic moment, the calculation gives 0.000 μB per formula unit.

Entry 10:
Entry from Materials Project: a geometry-optimized GdCd2 structure (r2SCAN).

```
GdCd2
1.0
-3.0192 -3.4636 -1.8804
1.4480 -0.2778 4.7406
-2.7627 1.8900 0.9546
Gd Cd
1 2
Direct
0.0000 0.0000 0.0000 Gd
0.6667 0.3333 0.4995 Cd
0.3333 0.6667 0.5005 Cd
```

Computed properties:
The space group is P6/mmm, No. 191. For the total magnetic moment, the calculation gives 7.746 μB per formula unit.

Entry 11:
Entry from Materials Project: a geometry-optimized ErSiAg structure (r2SCAN).

```
ErSiAg
1.0
3.4824 -6.0317 0.0000
3.4824 6.0317 0.0000
0.0000 0.0000 4.1564
Ag Er Si
3 3 3
Direct
0.0000 0.7497 0.0000 Ag
0.7497 0.0000 0.0000 Ag
0.2503 0.2503 0.0000 Ag
0.0000 0.4191 0.5000 Er
0.5809 0.5809 0.5000 Er
0.4191 0.0000 0.5000 Er
0.0000 0.0000 0.5000 Si
0.6667 0.3333 0.0000 Si
0.3333 0.6667 0.0000 Si
```

Computed properties:
The space group is P-62m, No. 189. For the total magnetic moment, the calculation gives 0.000 μB per formula unit.

Entry 12:
Entry from Materials Project: a geometry-optimized Be12W structure (r2SCAN).

```
Be12W
1.0
-1.9703 -2.7648 -2.4739
0.7262 -5.2017 1.6667
-5.1462 -1.0288 1.6799
Be W
12 1
Direct
0.7083 0.7914 0.7914 Be
0.0000 0.6497 0.3503 Be
0.3487 0.6494 0.6494 Be
0.5000 0.7878 0.2122 Be
0.0000 0.3503 0.6497 Be
0.5000 0.2122 0.7878 Be
0.0000 0.0000 0.5000 Be
0.5000 0.5000 0.0000 Be
0.5000 0.0000 0.5000 Be
0.0000 0.5000 0.0000 Be
0.2917 0.2086 0.2086 Be
0.6513 0.3506 0.3506 Be
0.0000 0.0000 0.0000 W
```

Computed properties:
The space group is C2/m, No. 12. For the total magnetic moment, the calculation gives 0.000 μB per formula unit.

Entry 13:
Entry from Materials Project: a geometry-optimized KGe structure (r2SCAN).

```
KGe
1.0
4.6595 5.9872 7.5487
4.3955 -8.7827 4.2528
2.4401 2.4125 -11.0064
K Ge
16 16
Direct
0.7527 0.2473 0.7500 K
0.7500 0.1088 0.0000 K
0.5027 0.2527 0.2500 K
0.9973 0.0027 0.7500 K
0.1088 0.7500 0.5000 K
0.2500 0.8912 0.0000 K
0.7500 0.6088 0.0000 K
0.2473 0.7527 0.2500 K
0.6088 0.7500 0.5000 K
0.8912 0.2500 0.5000 K
0.0027 0.9973 0.2500 K
0.3912 0.2500 0.5000 K
0.7473 0.4973 0.2500 K
0.4973 0.7473 0.7500 K
0.2500 0.3912 0.0000 K
0.2527 0.5027 0.7500 K
0.7796 0.8641 0.3539 Ge
0.1359 0.2204 0.1461 Ge
0.9898 0.5743 0.8539 Ge
0.5743 0.9898 0.3539 Ge
0.7204 0.5102 0.6461 Ge
0.0102 0.4257 0.1461 Ge
0.2204 0.1359 0.6461 Ge
0.5102 0.7204 0.1461 Ge
0.3641 0.0743 0.8539 Ge
0.6359 0.9257 0.1461 Ge
0.2796 0.4898 0.3539 Ge
0.4898 0.2796 0.8539 Ge
0.8641 0.7796 0.8539 Ge
0.9257 0.6359 0.6461 Ge
0.4257 0.0102 0.6461 Ge
0.0743 0.3641 0.3539 Ge
```

Computed properties:
The space group is I4_1/acd, No. 142. For the total magnetic moment, the calculation gives 0.000 μB per formula unit.

Entry 14:
Entry from Materials Project: a geometry-optimized Ca2HgPb structure (r2SCAN).

```
Ca2HgPb
1.0
-1.7885 -4.7931 -1.8858
-0.2438 -4.3171 3.3215
-4.8381 -1.9300 1.6116
Pb Ca Hg
1 2 1
Direct
0.0000 0.0000 0.0000 Pb
0.7500 0.7500 0.7500 Ca
0.2500 0.2500 0.2500 Ca
0.5000 0.5000 0.5000 Hg
```

Computed properties:
The space group is Fm-3m, No. 225. For the total magnetic moment, the calculation gives 0.000 μB per formula unit.

Entry 15:
Entry from Materials Project: a geometry-optimized BaUI6 structure (r2SCAN).

```
BaUI6
1.0
7.1677 4.2185 0.0516
-7.1677 4.2185 0.0516
0.0000 3.0584 14.3780
Ba I U
2 12 2
Direct
0.3335 0.1759 0.4947 Ba
0.1759 0.3335 0.9947 Ba
0.1851 0.9996 0.8763 I
0.7238 0.5938 0.3802 I
0.4188 0.8793 0.3749 I
0.7973 0.9185 0.1209 I
0.9185 0.7973 0.6209 I
0.0844 0.6142 0.1237 I
0.5938 0.7238 0.8802 I
0.9996 0.1851 0.3763 I
0.3286 0.5003 0.6236 I
0.8793 0.4188 0.8749 I
0.6142 0.0844 0.6237 I
0.5003 0.3286 0.1236 I
0.8398 0.6671 0.0003 U
0.6671 0.8398 0.5003 U
```

Computed properties:
The space group is Cc, No. 9. For the total magnetic moment, the calculation gives 0.000 μB per formula unit.

Entry 16:
Entry from Materials Project: a geometry-optimized CeGa3Pd structure (r2SCAN).

```
CeGa3Pd
1.0
3.1921 -5.1594 0.0000
3.1921 5.1594 0.0000
0.0000 0.0000 5.8510
Ce Pd Ga
2 2 6
Direct
0.2315 0.7685 0.7500 Ce
0.7685 0.2315 0.2500 Ce
0.9048 0.0952 0.7500 Pd
0.0952 0.9048 0.2500 Pd
0.2857 0.2857 0.5000 Ga
0.7143 0.7143 0.0000 Ga
0.2857 0.2857 0.0000 Ga
0.7143 0.7143 0.5000 Ga
0.3363 0.6637 0.2500 Ga
0.6637 0.3363 0.7500 Ga
```

Computed properties:
The space group is Cmcm, No. 63. For the total magnetic moment, the calculation gives 1.040 μB per formula unit.

Entry 17:
Entry from Materials Project: a geometry-optimized PmZnHg2 structure (r2SCAN).

```
PmZnHg2
1.0
-2.1850 -4.5361 -0.0832
-2.9503 -1.4439 3.8168
-4.9758 -0.3859 -0.6705
Zn Hg Pm
1 2 1
Direct
0.0000 0.0000 0.0000 Zn
0.2500 0.2500 0.2500 Hg
0.7500 0.7500 0.7500 Hg
0.5000 0.5000 0.5000 Pm
```

Computed properties:
The space group is Fm-3m, No. 225. For the total magnetic moment, the calculation gives 0.000 μB per formula unit.

Entry 18:
Entry from Materials Project: a geometry-optimized FeSnO3 structure (r2SCAN).

```
FeSnO3
1.0
3.6744 -3.7442 -0.9830
5.2417 3.4818 6.5526
0.1290 -3.7842 3.9506
O Fe Sn
12 4 4
Direct
0.9869 0.5217 0.7498 O
0.0311 0.1206 0.2692 O
0.4940 0.2757 0.2695 O
0.5311 0.6205 0.2693 O
0.5060 0.7243 0.7305 O
0.5131 0.9783 0.2503 O
0.0132 0.4783 0.2502 O
0.9689 0.8794 0.7308 O
0.9940 0.7757 0.2695 O
0.0061 0.2243 0.7305 O
0.4869 0.0217 0.7497 O
0.4689 0.3795 0.7307 O
0.5896 0.1890 0.9282 Fe
0.4104 0.8110 0.0719 Fe
0.0895 0.6890 0.9282 Fe
0.9104 0.3110 0.0718 Fe
0.2679 0.4259 0.4573 Sn
0.7679 0.9259 0.4573 Sn
0.7321 0.5741 0.5427 Sn
0.2321 0.0741 0.5427 Sn
```

Computed properties:
For the total magnetic moment, the calculation gives 4.006 μB per formula unit.

Entry 19:
Entry from Materials Project: a geometry-optimized LiVF4 structure (r2SCAN).

```
LiVF4
1.0
-1.0824 2.0439 2.0040
-5.8349 -0.6567 -2.4817
-1.2641 -4.8389 4.2525
F V Li
8 2 2
Direct
0.4989 0.5000 0.3072 F
0.5011 0.0000 0.1928 F
0.0026 0.2960 0.0000 F
0.9974 0.2040 0.5000 F
0.9974 0.7960 0.5000 F
0.4989 0.5000 0.6928 F
0.5011 0.0000 0.8072 F
0.0026 0.7040 0.0000 F
0.0014 0.0000 0.0000 V
0.9986 0.5000 0.5000 V
0.5061 0.5000 0.0000 Li
0.4939 0.0000 0.5000 Li
```

Computed properties:
The excess energy over the best structure of this formula in the dataset is 0.007 eV per atom. The space group is Pmmn, No. 59. For the total magnetic moment, the calculation gives 2.000 μB per formula unit.

Entry 20:
Entry from Materials Project: a geometry-optimized ZrBe13 structure (r2SCAN).

```
ZrBe13
1.0
-6.2275 2.9129 1.6719
-1.0053 2.7457 6.4431
-0.5218 7.0088 0.8168
Be Zr
26 2
Direct
0.0000 0.0000 0.0000 Be
0.2064 0.7936 0.5618 Be
0.7064 0.9382 0.0618 Be
0.9382 0.7064 0.2936 Be
0.7936 0.2064 0.4382 Be
0.0618 0.9382 0.2936 Be
0.2064 0.4382 0.7936 Be
0.2936 0.7064 0.0618 Be
0.0618 0.2936 0.7064 Be
0.2064 0.5618 0.4382 Be
0.5000 0.5000 0.5000 Be
0.0618 0.7064 0.9382 Be
0.2936 0.0618 0.9382 Be
0.9382 0.2936 0.0618 Be
0.7936 0.5618 0.2064 Be
0.7064 0.2936 0.9382 Be
0.7936 0.4382 0.5618 Be
0.5618 0.7936 0.4382 Be
0.7064 0.0618 0.2936 Be
0.9382 0.0618 0.7064 Be
0.5618 0.2064 0.7936 Be
0.4382 0.2064 0.5618 Be
0.4382 0.5618 0.7936 Be
0.4382 0.7936 0.2064 Be
0.2936 0.9382 0.7064 Be
0.5618 0.4382 0.2064 Be
0.2500 0.2500 0.2500 Zr
0.7500 0.7500 0.7500 Zr
```

Computed properties:
The space group is Fm-3c, No. 226. For the total magnetic moment, the calculation gives 0.000 μB per formula unit.

Number 1: formation energy from the elements -353 meV per atom. Number 2: formation energy from the elements -87 meV per atom. Number 3: formation energy from the elements -1398 meV per atom. Number 4: formation energy from the elements 35 meV per atom. Number 5: formation energy from the elements -1840 meV per atom. Number 6: formation energy from the elements -983 meV per atom. Number 7: formation energy from the elements -1137 meV per atom. Number 8: formation energy from the elements -504 meV per atom. Number 9: formation energy from the elements -207 meV per atom. Number 10: formation energy from the elements -367 meV per atom. Number 11: formation energy from the elements -635 meV per atom. Number 12: formation energy from the elements -104 meV per atom. Number 13: formation energy from the elements -277 meV per atom. Number 14: formation energy from the elements -696 meV per atom. Number 15: formation energy from the elements -1413 meV per atom. Number 16: formation energy from the elements -761 meV per atom. Number 17: formation energy from the elements -377 meV per atom. Number 18: formation energy from the elements -1577 meV per atom. Number 19: formation energy from the elements -3233 meV per atom. Number 20: formation energy from the elements -210 meV per atom.